{"formula": "MnZnSiO5", "functional": "PBE+U", "state": "optimized geometry", "lattice_angstrom": [[3.3399, -4.0960, 0.0000], [3.3399, 4.0960, 0.0000], [-3.1169, 0.0000, 6.3658]], "species": ["Mn", "Mn", "Zn", "Zn", "Si", "Si", "O", "O", "O", "O", "O", "O", "O", "O", "O", "O"], "frac_coords": [[0.0000, 0.0000, 0.0000], [0.0000, 0.0000, 0.5000], [0.3331, 0.6669, 0.7500], [0.6669, 0.3331, 0.2500], [0.3209, 0.6791, 0.2500], [0.6791, 0.3209, 0.7500], [0.0856, 0.9144, 0.7500], [0.1139, 0.6962, 0.3836], [0.2753, 0.3527, 0.0928], [0.3038, 0.8861, 0.1164], [0.3527, 0.2753, 0.5928], [0.6473, 0.7247, 0.4072], [0.6962, 0.1139, 0.8836], [0.7247, 0.6473, 0.9072], [0.8861, 0.3038, 0.6164], [0.9144, 0.0856, 0.2500]], "density_g_cm3": 4.4, "ef_ev_per_atom": -2.2385, "magmom_total_mub_per_fu": 3.00, "de_polymorph_kj_per_mol_atoms": 4.1}